i:
The following is a DFT calculation (PBE-GGA) of an optimized crystal structure of Te2Mo3WSe4S2.

a b c (Å): 3.344 3.344 38.027
angles (deg): 90.00 90.00 120.00
Fractional positions:
Mo  0.667  0.333  0.282
Mo  0.333  0.667  0.094
Mo  0.333  0.667  0.470
Se  0.333  0.667  0.613
Se  0.667  0.333  0.426
Se  0.333  0.667  0.702
Se  0.667  0.333  0.514
S  0.333  0.667  0.322
S  0.333  0.667  0.242
Te  0.667  0.333  0.144
Te  0.667  0.333  0.044
W  0.667  0.333  0.658

ii:
The following is a DFT calculation (PBE-GGA) of an optimized crystal structure of Te2Mo3WSe4S2.

a b c (Å): 3.346 3.346 38.006
angles (deg): 90.00 90.00 120.00
Fractional positions:
Se  0.667  0.333  0.050
Se  0.667  0.333  0.138
Se  0.667  0.333  0.426
Se  0.667  0.333  0.513
Te  0.333  0.667  0.708
Te  0.333  0.667  0.607
S  0.333  0.667  0.242
S  0.333  0.667  0.322
Mo  0.333  0.667  0.094
Mo  0.333  0.667  0.470
Mo  0.667  0.333  0.282
W  0.667  0.333  0.658

Energy comparison, zero being the most stable, in meV per atom: i 0; ii 22.

i:
The following is a DFT calculation (PBE-GGA) of an optimized crystal structure of Te2Mo3WSe4S2.

a b c (Å): 3.343 3.343 38.028
angles (deg): 90.00 90.00 120.00
Fractional positions:
Te  0.333  0.667  0.332
Te  0.333  0.667  0.232
W  0.667  0.333  0.658
S  0.667  0.333  0.430
S  0.667  0.333  0.510
Se  0.667  0.333  0.050
Se  0.667  0.333  0.138
Se  0.333  0.667  0.614
Se  0.333  0.667  0.702
Mo  0.333  0.667  0.470
Mo  0.667  0.333  0.282
Mo  0.333  0.667  0.094

ii:
The following is a DFT calculation (PBE-GGA) of an optimized crystal structure of Te2Mo3WSe4S2.

a b c (Å): 3.342 3.342 38.184
angles (deg): 90.00 90.00 120.00
Fractional positions:
Se  0.667  0.333  0.138
Se  0.667  0.333  0.513
Se  0.667  0.333  0.050
Se  0.667  0.333  0.426
Mo  0.333  0.667  0.470
Mo  0.333  0.667  0.094
Mo  0.667  0.333  0.282
S  0.333  0.667  0.697
S  0.333  0.667  0.618
Te  0.333  0.667  0.331
Te  0.333  0.667  0.232
W  0.667  0.333  0.658

Energy comparison, zero being the most stable, in meV per atom: i 15; ii 0.

i:
The following is a DFT calculation (PBE-GGA) of an optimized crystal structure of Te2Mo3WSe4S2.

a b c (Å): 3.344 3.344 38.093
angles (deg): 90.00 90.00 120.00
Fractional positions:
Mo  0.333  0.667  0.470
Mo  0.333  0.667  0.094
Mo  0.667  0.333  0.658
Se  0.667  0.333  0.513
Se  0.333  0.667  0.326
Se  0.667  0.333  0.426
Se  0.333  0.667  0.238
Te  0.333  0.667  0.608
Te  0.333  0.667  0.707
S  0.667  0.333  0.054
S  0.667  0.333  0.134
W  0.667  0.333  0.282

ii:
The following is a DFT calculation (PBE-GGA) of an optimized crystal structure of Te2Mo3WSe4S2.

a b c (Å): 3.347 3.347 38.097
angles (deg): 90.00 90.00 120.00
Fractional positions:
Se  0.000  0.000  0.701
Se  0.333  0.667  0.138
Se  0.000  0.000  0.614
Se  0.333  0.667  0.050
W  0.000  0.000  0.470
S  0.000  0.000  0.242
S  0.000  0.000  0.322
Te  0.333  0.667  0.520
Te  0.333  0.667  0.420
Mo  0.000  0.000  0.094
Mo  0.333  0.667  0.282
Mo  0.333  0.667  0.658

iii:
The following is a DFT calculation (PBE-GGA) of an optimized crystal structure of Te2Mo3WSe4S2.

a b c (Å): 3.341 3.341 38.025
angles (deg): 90.00 90.00 120.00
Fractional positions:
Mo  0.333  0.667  0.282
Mo  0.000  0.000  0.094
Mo  0.333  0.667  0.658
Te  0.000  0.000  0.332
Te  0.000  0.000  0.232
Se  0.333  0.667  0.138
Se  0.000  0.000  0.614
Se  0.000  0.000  0.701
Se  0.333  0.667  0.050
W  0.000  0.000  0.470
S  0.333  0.667  0.430
S  0.333  0.667  0.510

Energy comparison, zero being the most stable, in meV per atom: i 16; ii 37; iii 0.

i:
The following is a DFT calculation (PBE-GGA) of an optimized crystal structure of TeMoWSe2S.

a b c (Å): 3.345 3.345 39.746
angles (deg): 90.00 90.00 120.00
Fractional positions:
W  0.667  0.333  0.658
W  0.333  0.667  0.469
Se  0.333  0.667  0.323
Se  0.333  0.667  0.616
Se  0.333  0.667  0.701
Se  0.333  0.667  0.239
Te  0.667  0.333  0.517
Te  0.667  0.333  0.421
Mo  0.333  0.667  0.094
Mo  0.667  0.333  0.281
S  0.667  0.333  0.056
S  0.667  0.333  0.132

ii:
The following is a DFT calculation (PBE-GGA) of an optimized crystal structure of TeMoWSe2S.

a b c (Å): 3.344 3.344 38.064
angles (deg): 90.00 90.00 120.00
Fractional positions:
W  0.000  0.000  0.470
W  0.333  0.667  0.658
Mo  0.000  0.000  0.094
Mo  0.333  0.667  0.282
S  0.000  0.000  0.698
S  0.000  0.000  0.618
Se  0.000  0.000  0.326
Se  0.333  0.667  0.050
Se  0.333  0.667  0.138
Se  0.000  0.000  0.238
Te  0.333  0.667  0.420
Te  0.333  0.667  0.520

iii:
The following is a DFT calculation (PBE-GGA) of an optimized crystal structure of TeMoWSe2S.

a b c (Å): 3.341 3.341 38.087
angles (deg): 90.00 90.00 120.00
Fractional positions:
S  0.333  0.667  0.242
S  0.333  0.667  0.322
Mo  0.333  0.667  0.094
Mo  0.667  0.333  0.658
Se  0.667  0.333  0.050
Se  0.667  0.333  0.426
Se  0.667  0.333  0.138
Se  0.667  0.333  0.514
Te  0.333  0.667  0.608
Te  0.333  0.667  0.707
W  0.667  0.333  0.282
W  0.333  0.667  0.470

Energy comparison, zero being the most stable, in meV per atom: i 36; ii 20; iii 0.

i:
The following is a DFT calculation (PBE-GGA) of an optimized crystal structure of TeMoWSe2S.

a b c (Å): 3.344 3.344 38.085
angles (deg): 90.00 90.00 120.00
Fractional positions:
W  0.667  0.333  0.658
W  0.667  0.333  0.282
Se  0.667  0.333  0.050
Se  0.667  0.333  0.513
Se  0.667  0.333  0.426
Se  0.667  0.333  0.138
S  0.333  0.667  0.698
S  0.333  0.667  0.618
Mo  0.333  0.667  0.094
Mo  0.333  0.667  0.470
Te  0.333  0.667  0.232
Te  0.333  0.667  0.332

ii:
The following is a DFT calculation (PBE-GGA) of an optimized crystal structure of TeMoWSe2S.

a b c (Å): 3.346 3.346 38.104
angles (deg): 90.00 90.00 120.00
Fractional positions:
S  0.667  0.333  0.509
S  0.667  0.333  0.430
Mo  0.333  0.667  0.094
Mo  0.333  0.667  0.470
Te  0.333  0.667  0.232
Te  0.333  0.667  0.332
Se  0.667  0.333  0.138
Se  0.667  0.333  0.050
Se  0.333  0.667  0.702
Se  0.333  0.667  0.614
W  0.667  0.333  0.658
W  0.667  0.333  0.282

iii:
The following is a DFT calculation (PBE-GGA) of an optimized crystal structure of TeMoWSe2S.

a b c (Å): 3.343 3.343 38.592
angles (deg): 90.00 90.00 120.00
Fractional positions:
S  0.667  0.333  0.054
S  0.667  0.333  0.133
Mo  0.667  0.333  0.281
Mo  0.333  0.667  0.470
W  0.333  0.667  0.094
W  0.667  0.333  0.659
Se  0.333  0.667  0.238
Se  0.333  0.667  0.615
Se  0.333  0.667  0.324
Se  0.333  0.667  0.702
Te  0.667  0.333  0.519
Te  0.667  0.333  0.421

iv:
The following is a DFT calculation (PBE-GGA) of an optimized crystal structure of TeMoWSe2S.

a b c (Å): 3.343 3.343 38.087
angles (deg): 90.00 90.00 120.00
Fractional positions:
W  0.333  0.667  0.470
W  0.667  0.333  0.658
Se  0.667  0.333  0.426
Se  0.667  0.333  0.514
Se  0.333  0.667  0.701
Se  0.333  0.667  0.614
Mo  0.667  0.333  0.282
Mo  0.333  0.667  0.094
S  0.667  0.333  0.054
S  0.667  0.333  0.134
Te  0.333  0.667  0.232
Te  0.333  0.667  0.332

Energy comparison, zero being the most stable, in meV per atom: i 21; ii 36; iii 0; iv 16.

i:
The following is a DFT calculation (PBE-GGA) of an optimized crystal structure of TeMoWSe2S.

a b c (Å): 3.347 3.347 38.107
angles (deg): 90.00 90.00 120.00
Fractional positions:
Se  0.667  0.333  0.426
Se  0.333  0.667  0.238
Se  0.667  0.333  0.513
Se  0.333  0.667  0.326
Te  0.333  0.667  0.608
Te  0.333  0.667  0.708
S  0.667  0.333  0.054
S  0.667  0.333  0.134
Mo  0.333  0.667  0.094
Mo  0.333  0.667  0.470
W  0.667  0.333  0.282
W  0.667  0.333  0.658

ii:
The following is a DFT calculation (PBE-GGA) of an optimized crystal structure of TeMoWSe2S.

a b c (Å): 3.341 3.341 38.072
angles (deg): 90.00 90.00 120.00
Fractional positions:
Te  0.333  0.667  0.420
Te  0.333  0.667  0.519
Se  0.000  0.000  0.238
Se  0.000  0.000  0.326
Se  0.333  0.667  0.050
Se  0.333  0.667  0.138
S  0.000  0.000  0.698
S  0.000  0.000  0.618
Mo  0.000  0.000  0.470
Mo  0.000  0.000  0.094
W  0.333  0.667  0.658
W  0.333  0.667  0.282

Energy comparison, zero being the most stable, in meV per atom: i 36; ii 0.

i:
The following is a DFT calculation (PBE-GGA) of an optimized crystal structure of TeMoWSe2S.

a b c (Å): 3.341 3.341 38.077
angles (deg): 90.00 90.00 120.00
Fractional positions:
Se  0.000  0.000  0.614
Se  0.333  0.667  0.050
Se  0.000  0.000  0.702
Se  0.333  0.667  0.138
Te  0.333  0.667  0.519
Te  0.333  0.667  0.420
S  0.000  0.000  0.322
S  0.000  0.000  0.242
Mo  0.000  0.000  0.094
Mo  0.000  0.000  0.470
W  0.333  0.667  0.658
W  0.333  0.667  0.282

ii:
The following is a DFT calculation (PBE-GGA) of an optimized crystal structure of TeMoWSe2S.

a b c (Å): 3.346 3.346 38.111
angles (deg): 90.00 90.00 120.00
Fractional positions:
S  0.000  0.000  0.242
S  0.000  0.000  0.322
W  0.000  0.000  0.470
W  0.333  0.667  0.658
Mo  0.000  0.000  0.094
Mo  0.333  0.667  0.282
Se  0.333  0.667  0.050
Se  0.000  0.000  0.702
Se  0.333  0.667  0.138
Se  0.000  0.000  0.614
Te  0.333  0.667  0.420
Te  0.333  0.667  0.520

iii:
The following is a DFT calculation (PBE-GGA) of an optimized crystal structure of TeMoWSe2S.

a b c (Å): 3.344 3.344 38.096
angles (deg): 90.00 90.00 120.00
Fractional positions:
S  0.667  0.333  0.054
S  0.667  0.333  0.134
Se  0.333  0.667  0.238
Se  0.667  0.333  0.514
Se  0.333  0.667  0.326
Se  0.667  0.333  0.426
Mo  0.333  0.667  0.094
Mo  0.667  0.333  0.658
Te  0.333  0.667  0.608
Te  0.333  0.667  0.707
W  0.333  0.667  0.470
W  0.667  0.333  0.282

Energy comparison, zero being the most stable, in meV per atom: i 0; ii 37; iii 16.